Record 1
The following is a PBE calculation of crystalline Na4ZnCdSi4O12 at its relaxed geometry, from Materials Project.

a = 5.233 Å, b = 5.233 Å, c = 11.577 Å
α = 102.45°, β = 102.45°, γ = 92.55°
Sites, in units of the cell vectors:
Na 0.067 0.558 0.159
Na 0.160 0.160 0.355
Na 0.442 0.933 0.841
Na 0.840 0.840 0.645
Zn 0.279 0.721 0.500
Cd 0.028 0.972 0.000
Si 0.001 0.405 0.825
Si 0.421 0.315 0.665
Si 0.595 0.999 0.175
Si 0.685 0.579 0.335
O 0.021 0.715 0.823
O 0.092 0.356 0.960
O 0.181 0.243 0.733
O 0.285 0.979 0.177
O 0.382 0.565 0.346
O 0.384 0.100 0.538
O 0.435 0.618 0.654
O 0.644 0.908 0.040
O 0.695 0.260 0.761
O 0.740 0.305 0.239
O 0.757 0.819 0.267
O 0.900 0.616 0.462

Computed properties:
Final energy: -6.32 eV/atom
SG: C2 (5)
ρ: 3.17 g/cm³
Energy with MP2020 corrections: -6.691 eV per atom



Record 2
The following is a PBE calculation of crystalline Na4CdP2 at its relaxed geometry, from Materials Project.

a = 9.080 Å, b = 9.080 Å, c = 9.080 Å
α = 32.20°, β = 32.20°, γ = 32.20°
Sites, in units of the cell vectors:
Na 0.093 0.093 0.093
Na 0.293 0.293 0.293
Na 0.707 0.707 0.707
Na 0.907 0.907 0.907
Cd 0.500 0.500 0.500
P 0.406 0.406 0.406
P 0.594 0.594 0.594

Computed properties:
Final energy: -2.77 eV/atom
SG: R-3m (166)
ρ: 2.34 g/cm³